# 1
{"formula": "Li6MnV3P6O24", "functional": "GGA+U", "state": "optimized geometry", "lattice_angstrom": [[4.439, 7.590, 0.000], [-4.439, 7.590, 0.000], [0.000, 4.663, 13.724]], "species": ["O", "O", "O", "Li", "O", "O", "O", "Li", "O", "O", "O", "Mn", "O", "O", "O", "Mn", "O", "O", "O", "Li", "O", "O", "O", "O", "O", "P", "Li", "V", "O", "Li", "O", "O", "O", "O", "O", "O", "O", "O", "Li", "V", "O", "P", "O", "O", "O", "P", "O", "P", "O", "V", "Li", "Li", "O", "V", "P", "P", "O", "O", "O", "Li", "O", "P", "O", "O", "Li", "O", "P", "O", "O", "Li", "P", "O", "P", "P", "Li", "P", "O", "V", "V", "O"], "frac_coords": [[0.452, 0.074, 0.510], [0.303, 0.865, 0.504], [0.660, 0.610, 0.828], [0.249, 0.999, 0.625], [0.357, 0.315, 0.752], [0.107, 0.219, 0.510], [0.835, 0.385, 0.421], [0.503, 0.246, 0.873], [0.334, 0.307, 0.356], [0.437, 0.613, 0.406], [0.549, 0.429, 0.244], [0.678, 0.423, 0.340], [0.200, 0.161, 0.144], [0.168, 0.692, 0.895], [0.644, 0.189, 0.997], [0.577, 0.322, 0.660], [0.947, 0.101, 0.906], [0.880, 0.841, 0.673], [0.718, 0.106, 0.767], [0.642, 0.765, 0.488], [0.102, 0.446, 0.656], [0.135, 0.697, 0.496], [0.219, 0.609, 0.262], [0.839, 0.800, 0.856], [0.670, 0.193, 0.395], [0.420, 0.867, 0.006], [0.142, 0.263, 0.989], [0.819, 0.575, 0.912], [0.899, 0.053, 0.094], [0.858, 0.234, 0.762], [0.615, 0.165, 0.579], [0.603, 0.945, 0.157], [0.117, 0.660, 0.079], [0.811, 0.356, 0.003], [0.926, 0.548, 0.490], [0.390, 0.340, 0.172], [0.308, 0.832, 0.105], [0.285, 0.389, 0.989], [0.737, 0.858, 0.011], [0.182, 0.922, 0.838], [0.055, 0.397, 0.843], [0.632, 0.085, 0.494], [0.781, 0.893, 0.490], [0.611, 0.715, 0.011], [0.693, 0.666, 0.644], [0.082, 0.132, 0.241], [0.340, 0.883, 0.921], [0.176, 0.326, 0.749], [0.685, 0.643, 0.248], [0.922, 0.683, 0.588], [0.001, 0.751, 0.375], [0.235, 0.358, 0.512], [0.387, 0.563, 0.594], [0.317, 0.078, 0.412], [0.318, 0.682, 0.500], [0.133, 0.580, 0.994], [0.048, 0.927, 0.740], [0.894, 0.282, 0.233], [0.955, 0.567, 0.010], [0.766, 0.142, 0.238], [0.858, 0.808, 0.253], [0.827, 0.173, 0.000], [0.554, 0.898, 0.344], [0.433, 0.045, 0.990], [0.359, 0.737, 0.264], [0.571, 0.451, 0.756], [0.369, 0.419, 0.258], [0.192, 0.142, 0.747], [0.159, 0.120, 0.327], [0.263, 0.641, 0.736], [0.915, 0.368, 0.506], [0.807, 0.330, 0.605], [0.674, 0.824, 0.251], [0.581, 0.631, 0.742], [0.754, 0.497, 0.127], [0.868, 0.918, 0.759], [0.073, 0.952, 0.260], [0.425, 0.181, 0.088], [0.078, 0.818, 0.162], [0.391, 0.781, 0.738]], "e_above_lowest_polymorph_ev_per_atom": 0.036, "formation_energy_ev_per_atom": -2.650, "final_energy_ev_per_atom": -7.05}

# 2
{"formula": "Li6MnV3P6O24", "functional": "GGA+U", "state": "optimized geometry", "lattice_angstrom": [[-6.462, -7.359, -0.834], [7.877, -5.826, 0.782], [-0.345, -0.076, 9.886]], "species": ["O", "O", "P", "O", "P", "O", "O", "Li", "O", "P", "O", "V", "Li", "P", "Li", "O", "O", "O", "Li", "O", "Mn", "O", "O", "P", "O", "O", "O", "O", "P", "O", "O", "Li", "V", "O", "O", "V", "O", "O", "O", "Li", "Li", "P", "O", "O", "O", "O", "V", "Li", "O", "O", "O", "Li", "Li", "Mn", "O", "O", "O", "P", "V", "O", "O", "Li", "O", "O", "P", "Li", "O", "O", "O", "P", "V", "P", "O", "O", "O", "O", "O", "P", "O", "O"], "frac_coords": [[0.407, 0.194, 0.654], [0.401, 0.457, 0.632], [0.647, 0.684, 0.805], [0.954, 0.103, 0.672], [0.160, 0.552, 0.929], [0.313, 0.186, 0.329], [0.581, 0.545, 0.863], [0.249, 0.977, 0.615], [0.167, 0.110, 0.879], [0.343, 0.320, 0.697], [0.693, 0.102, 0.663], [0.534, 0.534, 0.500], [0.370, 0.749, 0.813], [0.818, 0.053, 0.598], [0.230, 0.736, 0.177], [0.281, 0.912, 0.813], [0.588, 0.321, 0.056], [0.379, 0.331, 0.859], [0.511, 0.012, 0.760], [0.103, 0.954, 0.328], [0.750, 0.977, 0.279], [0.097, 0.602, 0.054], [0.909, 0.406, 0.448], [0.684, 0.647, 0.195], [0.030, 0.876, 0.882], [0.813, 0.890, 0.620], [0.096, 0.825, 0.553], [0.699, 0.799, 0.152], [0.443, 0.836, 0.430], [0.890, 0.813, 0.380], [0.194, 0.407, 0.346], [0.749, 0.370, 0.187], [0.746, 0.746, 0.500], [0.373, 0.881, 0.293], [0.864, 0.605, 0.579], [0.465, 0.465, 0.000], [0.406, 0.676, 0.447], [0.321, 0.588, 0.944], [0.216, 0.911, 0.060], [0.012, 0.511, 0.240], [0.977, 0.249, 0.385], [0.320, 0.343, 0.303], [0.545, 0.581, 0.137], [0.612, 0.114, 0.208], [0.806, 0.571, 0.160], [0.110, 0.167, 0.121], [0.030, 0.250, 0.783], [0.703, 0.925, 0.983], [0.457, 0.401, 0.368], [0.876, 0.030, 0.118], [0.102, 0.693, 0.337], [0.925, 0.703, 0.017], [0.566, 0.214, 0.538], [0.977, 0.750, 0.721], [0.605, 0.864, 0.421], [0.911, 0.216, 0.940], [0.390, 0.129, 0.073], [0.948, 0.172, 0.092], [0.252, 0.252, 0.000], [0.881, 0.373, 0.707], [0.129, 0.390, 0.927], [0.736, 0.230, 0.823], [0.670, 0.624, 0.357], [0.624, 0.670, 0.643], [0.552, 0.160, 0.071], [0.214, 0.566, 0.462], [0.676, 0.406, 0.553], [0.571, 0.806, 0.840], [0.825, 0.096, 0.447], [0.836, 0.443, 0.570], [0.250, 0.030, 0.217], [0.053, 0.818, 0.402], [0.114, 0.612, 0.792], [0.602, 0.097, 0.946], [0.799, 0.699, 0.848], [0.186, 0.313, 0.671], [0.912, 0.281, 0.187], [0.172, 0.948, 0.908], [0.406, 0.909, 0.552], [0.331, 0.379, 0.141]], "e_above_lowest_polymorph_ev_per_atom": 0.043, "formation_energy_ev_per_atom": -2.643, "final_energy_ev_per_atom": -7.04}

# 3
{"formula": "Li6MnV3P6O24", "functional": "GGA+U", "state": "optimized geometry", "lattice_angstrom": [[-6.965, -1.917, 5.044], [-1.079, -7.370, -4.291], [7.315, -5.887, 7.864]], "species": ["O", "O", "O", "V", "O", "P", "P", "Li", "O", "O", "Li", "P", "O", "O", "Li", "O", "O", "P", "Li", "P", "P", "O", "O", "O", "O", "O", "O", "V", "O", "V", "O", "O", "O", "O", "O", "P", "P", "Mn", "Li", "P", "O", "Li", "V", "O", "O", "Li", "O", "O", "O", "O", "O", "O", "O", "O", "Li", "Li", "V", "O", "O", "V", "Li", "P", "O", "O", "O", "O", "O", "O", "O", "O", "Li", "O", "P", "O", "O", "O", "Mn", "O", "Li", "P"], "frac_coords": [[0.420, 0.191, 0.935], [0.856, 0.646, 0.831], [0.920, 0.809, 0.065], [0.526, 0.506, 0.146], [0.971, 0.522, 0.026], [0.890, 0.134, 0.900], [0.247, 0.292, 0.260], [0.586, 0.669, 0.941], [0.327, 0.930, 0.814], [0.770, 0.570, 0.435], [0.486, 0.186, 0.096], [0.747, 0.708, 0.740], [0.229, 0.919, 0.062], [0.207, 0.377, 0.916], [0.913, 0.170, 0.443], [0.644, 0.155, 0.333], [0.827, 0.070, 0.186], [0.883, 0.635, 0.100], [0.413, 0.830, 0.557], [0.390, 0.866, 0.100], [0.383, 0.365, 0.900], [0.629, 0.802, 0.805], [0.998, 0.379, 0.505], [0.670, 0.562, 0.688], [0.528, 0.022, 0.534], [0.291, 0.865, 0.417], [0.582, 0.111, 0.726], [0.035, 0.995, 0.144], [0.453, 0.987, 0.181], [0.964, 0.505, 0.359], [0.504, 0.876, 0.999], [0.422, 0.392, 0.779], [0.048, 0.486, 0.688], [0.729, 0.081, 0.938], [0.548, 0.514, 0.312], [0.252, 0.787, 0.758], [0.112, 0.366, 0.605], [0.475, 0.992, 0.354], [0.986, 0.814, 0.904], [0.752, 0.213, 0.242], [0.144, 0.845, 0.667], [0.781, 0.428, 0.573], [0.535, 0.005, 0.856], [0.082, 0.889, 0.274], [0.394, 0.699, 0.145], [0.281, 0.572, 0.427], [0.166, 0.693, 0.848], [0.374, 0.695, 0.696], [0.619, 0.799, 0.351], [0.707, 0.623, 0.084], [0.666, 0.307, 0.152], [0.356, 0.354, 0.169], [0.874, 0.305, 0.304], [0.894, 0.301, 0.855], [0.513, 0.313, 0.404], [0.013, 0.687, 0.596], [0.026, 0.494, 0.854], [0.170, 0.438, 0.312], [0.573, 0.310, 0.567], [0.464, 0.495, 0.641], [0.217, 0.068, 0.927], [0.617, 0.138, 0.601], [0.471, 0.478, 0.974], [0.953, 0.013, 0.819], [0.270, 0.430, 0.565], [0.073, 0.690, 0.433], [0.329, 0.202, 0.351], [0.004, 0.124, 0.001], [0.028, 0.978, 0.466], [0.129, 0.198, 0.195], [0.086, 0.331, 0.059], [0.829, 0.798, 0.649], [0.612, 0.634, 0.395], [0.922, 0.608, 0.221], [0.119, 0.201, 0.649], [0.791, 0.135, 0.583], [0.975, 0.008, 0.646], [0.498, 0.621, 0.495], [0.717, 0.932, 0.073], [0.117, 0.862, 0.399]], "e_above_lowest_polymorph_ev_per_atom": 0.010, "formation_energy_ev_per_atom": -2.677, "final_energy_ev_per_atom": -7.07}

# 4
{"formula": "Li3MnVP3O12", "functional": "GGA+U", "state": "optimized geometry", "lattice_angstrom": [[-6.119, 6.200, -0.962], [-6.124, -5.810, 1.510], [0.361, 2.197, 11.863]], "species": ["O", "P", "P", "P", "O", "O", "Li", "P", "O", "V", "O", "Mn", "Li", "Li", "P", "O", "P", "O", "O", "P", "V", "Li", "O", "O", "O", "O", "Mn", "Li", "O", "P", "O", "O", "Li", "P", "O", "O", "O", "Mn", "O", "O", "O", "P", "O", "Li", "O", "Li", "O", "O", "Li", "P", "O", "Li", "O", "V", "O", "V", "P", "O", "Li", "O", "O", "O", "O", "Li", "O", "O", "O", "O", "O", "Mn", "O", "O", "O", "O", "O", "O", "O", "O", "O", "O"], "frac_coords": [[0.050, 0.485, 0.688], [0.890, 0.133, 0.900], [0.382, 0.364, 0.904], [0.748, 0.706, 0.740], [0.860, 0.649, 0.832], [0.550, 0.515, 0.312], [0.485, 0.186, 0.097], [0.390, 0.867, 0.100], [0.332, 0.199, 0.353], [0.028, 0.494, 0.855], [0.530, 0.019, 0.533], [0.537, 0.002, 0.860], [0.985, 0.814, 0.903], [0.721, 0.931, 0.072], [0.111, 0.365, 0.604], [0.030, 0.981, 0.467], [0.619, 0.134, 0.603], [0.677, 0.561, 0.684], [0.769, 0.574, 0.437], [0.611, 0.635, 0.396], [0.965, 0.505, 0.358], [0.086, 0.330, 0.060], [0.126, 0.205, 0.197], [0.114, 0.197, 0.649], [0.820, 0.063, 0.186], [0.868, 0.299, 0.306], [0.037, 0.998, 0.140], [0.221, 0.069, 0.928], [0.664, 0.304, 0.151], [0.249, 0.793, 0.760], [0.421, 0.390, 0.781], [0.614, 0.803, 0.351], [0.279, 0.570, 0.428], [0.248, 0.294, 0.260], [0.080, 0.694, 0.437], [0.393, 0.699, 0.145], [0.451, 0.988, 0.182], [0.971, 0.002, 0.644], [0.136, 0.851, 0.666], [0.471, 0.481, 0.975], [0.580, 0.306, 0.563], [0.119, 0.866, 0.397], [0.230, 0.920, 0.059], [0.586, 0.670, 0.940], [0.832, 0.801, 0.647], [0.779, 0.430, 0.572], [0.994, 0.378, 0.505], [0.083, 0.885, 0.273], [0.512, 0.315, 0.404], [0.749, 0.207, 0.240], [0.205, 0.376, 0.920], [0.012, 0.685, 0.596], [0.951, 0.012, 0.818], [0.465, 0.495, 0.642], [0.918, 0.807, 0.057], [0.528, 0.506, 0.145], [0.882, 0.636, 0.096], [0.636, 0.149, 0.334], [0.915, 0.170, 0.441], [0.418, 0.193, 0.943], [0.368, 0.701, 0.694], [0.008, 0.123, 0.001], [0.269, 0.426, 0.563], [0.415, 0.830, 0.559], [0.360, 0.351, 0.168], [0.164, 0.696, 0.849], [0.494, 0.622, 0.495], [0.508, 0.877, 0.999], [0.320, 0.937, 0.814], [0.471, 0.998, 0.356], [0.893, 0.301, 0.855], [0.177, 0.439, 0.316], [0.583, 0.115, 0.727], [0.921, 0.610, 0.219], [0.971, 0.519, 0.025], [0.705, 0.624, 0.080], [0.626, 0.795, 0.803], [0.730, 0.080, 0.941], [0.798, 0.127, 0.584], [0.298, 0.873, 0.416]], "e_above_lowest_polymorph_ev_per_atom": 0.017, "formation_energy_ev_per_atom": -2.638, "final_energy_ev_per_atom": -7.04}

# 5
{"formula": "Li3MnVP3O12", "functional": "GGA+U", "state": "optimized geometry", "lattice_angstrom": [[-7.805, 2.010, 5.639], [3.405, -5.589, 7.374], [4.574, 7.516, 4.468]], "species": ["P", "P", "P", "Li", "Li", "V", "O", "O", "O", "P", "P", "Li", "O", "P", "O", "O", "O", "O", "O", "O", "Li", "O", "P", "Mn", "Li", "O", "O", "O", "O", "O", "O", "O", "Li", "Li", "O", "O", "P", "O", "P", "O", "O", "O", "O", "O", "O", "Li", "Mn", "Li", "O", "V", "O", "O", "O", "Li", "O", "O", "V", "O", "O", "O", "O", "O", "O", "O", "O", "V", "O", "O", "O", "Li", "Mn", "P", "O", "P", "P", "O", "Mn", "O", "O", "Li"], "frac_coords": [[0.452, 0.648, 0.816], [0.655, 0.826, 0.452], [0.670, 0.852, 0.050], [0.980, 0.002, 0.048], [0.350, 0.765, 0.468], [0.036, 0.249, 0.466], [0.654, 0.883, 0.891], [0.303, 0.591, 0.408], [0.612, 0.971, 0.393], [0.836, 0.448, 0.643], [0.854, 0.054, 0.674], [0.766, 0.443, 0.357], [0.310, 0.920, 0.324], [0.330, 0.146, 0.956], [0.884, 0.675, 0.870], [0.806, 0.796, 0.416], [0.876, 0.895, 0.671], [0.334, 0.121, 0.118], [0.590, 0.442, 0.280], [0.099, 0.880, 0.461], [0.432, 0.367, 0.770], [0.686, 0.694, 0.082], [0.048, 0.678, 0.846], [0.974, 0.740, 0.526], [0.644, 0.231, 0.556], [0.807, 0.416, 0.799], [0.791, 0.934, 0.086], [0.901, 0.118, 0.533], [0.104, 0.533, 0.890], [0.901, 0.212, 0.061], [0.701, 0.094, 0.695], [0.126, 0.111, 0.330], [0.267, 0.854, 0.948], [0.546, 0.645, 0.237], [0.849, 0.607, 0.616], [0.086, 0.712, 0.695], [0.547, 0.354, 0.168], [0.723, 0.406, 0.555], [0.152, 0.950, 0.324], [0.973, 0.376, 0.606], [0.223, 0.053, 0.911], [0.474, 0.112, 0.895], [0.582, 0.199, 0.194], [0.385, 0.376, 0.162], [0.087, 0.906, 0.199], [0.946, 0.274, 0.856], [0.255, 0.248, 0.245], [0.729, 0.131, 0.072], [0.404, 0.034, 0.628], [0.242, 0.469, 0.020], [0.417, 0.563, 0.700], [0.388, 0.593, 0.954], [0.202, 0.187, 0.589], [0.139, 0.054, 0.739], [0.442, 0.288, 0.597], [0.301, 0.300, 0.917], [0.748, 0.537, 0.961], [0.557, 0.720, 0.410], [0.176, 0.382, 0.370], [0.190, 0.578, 0.181], [0.945, 0.099, 0.785], [0.042, 0.609, 0.383], [0.105, 0.333, 0.115], [0.410, 0.801, 0.803], [0.609, 0.399, 0.027], [0.476, 0.029, 0.262], [0.535, 0.895, 0.125], [0.386, 0.164, 0.398], [0.882, 0.467, 0.092], [0.038, 0.725, 0.156], [0.530, 0.973, 0.762], [0.357, 0.172, 0.555], [0.627, 0.832, 0.613], [0.180, 0.545, 0.338], [0.947, 0.328, 0.144], [0.615, 0.631, 0.826], [0.752, 0.759, 0.742], [0.092, 0.782, 0.943], [0.912, 0.312, 0.299], [0.453, 0.498, 0.515]], "e_above_lowest_polymorph_ev_per_atom": 0.055, "formation_energy_ev_per_atom": -2.601, "final_energy_ev_per_atom": -7.00}